Record 1
Here is a geometry-optimized Sm2WO6 structure from Materials Project. Energies are from GGA+U.

Cell lengths 5.3873, 9.3155, 10.1869 Å; angles 90.00, 90.00, 90.00 degrees
Fractional coordinates of all 36 atoms:
1 Sm 0.0207 0.1035 0.4650
2 Sm 0.0360 0.2188 0.8705
3 Sm 0.4640 0.7812 0.3705
4 Sm 0.4793 0.8965 0.9650
5 Sm 0.5207 0.3965 0.5350
6 Sm 0.5360 0.2812 0.1295
7 Sm 0.9640 0.7188 0.6295
8 Sm 0.9793 0.6035 0.0350
9 W 0.0400 0.4961 0.3486
10 W 0.4600 0.5039 0.8486
11 W 0.5400 0.0039 0.6514
12 W 0.9600 0.9961 0.1514
13 O 0.0802 0.8462 0.0308
14 O 0.1721 0.9519 0.2941
15 O 0.1868 0.6366 0.8195
16 O 0.1898 0.6381 0.2373
17 O 0.2265 0.1128 0.0675
18 O 0.2480 0.5895 0.4909
19 O 0.2520 0.4105 0.9909
20 O 0.2735 0.8872 0.5675
21 O 0.3102 0.3619 0.7373
22 O 0.3132 0.3634 0.3195
23 O 0.3279 0.0481 0.7941
24 O 0.4198 0.1538 0.5308
25 O 0.5802 0.6538 0.9692
26 O 0.6721 0.5481 0.7059
27 O 0.6868 0.8634 0.1805
28 O 0.6898 0.8619 0.7627
29 O 0.7265 0.3872 0.9325
30 O 0.7480 0.9105 0.5091
31 O 0.7520 0.0895 0.0091
32 O 0.7735 0.6128 0.4325
33 O 0.8102 0.1381 0.2627
34 O 0.8132 0.1366 0.6805
35 O 0.8279 0.4519 0.2059
36 O 0.9198 0.3462 0.4692

- energy of formation from the pure elements (eV/atom) = -3.26
- total energy after the MP2020 corrections (eV per atom) = -9.05
- excess energy over the best structure of this formula in the dataset (kJ/mol of atoms) = 0.0
- calculated volume (Å³/f.u.) = 128
- calculated total energy (eV per atom) = -8.101
- SG = P2_12_12_1

Record 2
Here is a geometry-optimized Sm2W3O12 structure from Materials Project. Energies are from GGA+U.

Cell lengths 10.3448, 10.4610, 17.6955 Å; angles 90.00, 125.47, 90.00 degrees
Fractional coordinates of all 68 atoms:
1 Sm 0.1337 0.0290 0.3817
2 Sm 0.1337 0.4710 0.8817
3 Sm 0.3621 0.0329 0.1178
4 Sm 0.3621 0.4671 0.6178
5 Sm 0.6379 0.5329 0.3822
6 Sm 0.6379 0.9671 0.8822
7 Sm 0.8663 0.5290 0.1183
8 Sm 0.8663 0.9710 0.6183
9 W 0.0258 0.7487 0.0000
10 W 0.0258 0.7513 0.5000
11 W 0.2530 0.1192 0.8568
12 W 0.2530 0.3808 0.3568
13 W 0.4652 0.6197 0.8575
14 W 0.4652 0.8803 0.3575
15 W 0.5348 0.1197 0.6425
16 W 0.5348 0.3803 0.1425
17 W 0.7470 0.6192 0.6432
18 W 0.7470 0.8808 0.1432
19 W 0.9742 0.2487 0.5000
20 W 0.9742 0.2513 0.0000
21 O 0.0025 0.6575 0.0787
22 O 0.0025 0.8425 0.5787
23 O 0.0855 0.6432 0.9441
24 O 0.0855 0.8568 0.4441
25 O 0.0899 0.0239 0.7648
26 O 0.0899 0.4761 0.2648
27 O 0.1618 0.1761 0.0868
28 O 0.1618 0.3239 0.5868
29 O 0.1756 0.6291 0.5642
30 O 0.1756 0.8709 0.0642
31 O 0.2026 0.2121 0.3356
32 O 0.2026 0.2879 0.8356
33 O 0.2880 0.0776 0.9669
34 O 0.2880 0.4224 0.4669
35 O 0.3022 0.5982 0.8681
36 O 0.3022 0.9018 0.3681
37 O 0.3512 0.0726 0.5348
38 O 0.3512 0.4274 0.0348
39 O 0.4318 0.0891 0.8630
40 O 0.4318 0.4109 0.3630
41 O 0.4325 0.5214 0.7634
42 O 0.4325 0.9786 0.2634
43 O 0.4777 0.7134 0.3348
44 O 0.4777 0.7866 0.8348
45 O 0.5223 0.2134 0.1652
46 O 0.5223 0.2866 0.6652
47 O 0.5675 0.0214 0.7366
48 O 0.5675 0.4786 0.2366
49 O 0.5682 0.5891 0.6370
50 O 0.5682 0.9109 0.1370
51 O 0.6488 0.5726 0.9652
52 O 0.6488 0.9274 0.4652
53 O 0.6978 0.0982 0.6319
54 O 0.6978 0.4018 0.1319
55 O 0.7120 0.5776 0.5331
56 O 0.7120 0.9224 0.0331
57 O 0.7974 0.7121 0.1644
58 O 0.7974 0.7879 0.6644
59 O 0.8244 0.1291 0.9358
60 O 0.8244 0.3709 0.4358
61 O 0.8382 0.6761 0.4132
62 O 0.8382 0.8239 0.9132
63 O 0.9101 0.5239 0.7352
64 O 0.9101 0.9761 0.2352
65 O 0.9145 0.1432 0.5559
66 O 0.9145 0.3568 0.0559
67 O 0.9975 0.1575 0.4213
68 O 0.9975 0.3425 0.9213

- energy of formation from the pure elements (eV/atom) = -2.74
- total energy after the MP2020 corrections (eV per atom) = -9.07
- excess energy over the best structure of this formula in the dataset (kJ/mol of atoms) = 0.0
- calculated volume (Å³/f.u.) = 390
- calculated total energy (eV per atom) = -7.802
- SG = P2_1/c

Record 3
Here is a geometry-optimized Sm2WO6 structure from Materials Project. Energies are from GGA+U.

Cell lengths 10.0823, 10.0823, 5.5226 Å; angles 104.20, 104.20, 68.64 degrees
Fractional coordinates of all 36 atoms:
1 Sm 0.0576 0.2876 0.8845
2 Sm 0.1074 0.8926 0.7500
3 Sm 0.2876 0.0576 0.3845
4 Sm 0.3678 0.6322 0.2500
5 Sm 0.6322 0.3678 0.7500
6 Sm 0.7124 0.9424 0.6155
7 Sm 0.8926 0.1074 0.2500
8 Sm 0.9424 0.7124 0.1155
9 W 0.1999 0.4952 0.5651
10 W 0.4952 0.1999 0.0651
11 W 0.5048 0.8001 0.9349
12 W 0.8001 0.5048 0.4349
13 O 0.0640 0.4725 0.2676
14 O 0.0772 0.1070 0.0785
15 O 0.1070 0.0772 0.5785
16 O 0.1610 0.6842 0.4206
17 O 0.1750 0.6183 0.8774
18 O 0.2165 0.3208 0.6463
19 O 0.3158 0.8390 0.0794
20 O 0.3208 0.2165 0.1463
21 O 0.3817 0.8250 0.6226
22 O 0.3862 0.4562 0.5223
23 O 0.4562 0.3862 0.0223
24 O 0.4725 0.0640 0.7676
25 O 0.5275 0.9360 0.2324
26 O 0.5438 0.6138 0.9777
27 O 0.6139 0.5438 0.4777
28 O 0.6183 0.1750 0.3774
29 O 0.6792 0.7835 0.8537
30 O 0.6842 0.1610 0.9206
31 O 0.7835 0.6792 0.3537
32 O 0.8250 0.3817 0.1226
33 O 0.8390 0.3158 0.5794
34 O 0.8930 0.9228 0.4215
35 O 0.9228 0.8930 0.9215
36 O 0.9360 0.5275 0.7324

- energy of formation from the pure elements (eV/atom) = -3.23
- total energy after the MP2020 corrections (eV per atom) = -9.02
- excess energy over the best structure of this formula in the dataset (kJ/mol of atoms) = 3.3
- calculated volume (Å³/f.u.) = 125
- calculated total energy (eV per atom) = -8.067
- SG = C2/c

Record 4
Here is a geometry-optimized Sm2WO6 structure from Materials Project. Energies are from GGA+U.

Cell lengths 7.8456, 5.5066, 11.6873 Å; angles 90.00, 104.09, 90.00 degrees
Fractional coordinates of all 36 atoms:
1 Sm 0.0000 0.1832 0.2500
2 Sm 0.0000 0.8168 0.7500
3 Sm 0.2966 0.3098 0.9231
4 Sm 0.2966 0.6902 0.4231
5 Sm 0.5000 0.2373 0.2500
6 Sm 0.5000 0.7627 0.7500
7 Sm 0.7034 0.3098 0.5769
8 Sm 0.7034 0.6902 0.0769
9 W 0.2218 0.2466 0.6139
10 W 0.2218 0.7534 0.1139
11 W 0.7782 0.2466 0.8861
12 W 0.7782 0.7534 0.3861
13 O 0.0063 0.1381 0.8881
14 O 0.0063 0.8619 0.3881
15 O 0.1360 0.3495 0.4549
16 O 0.1360 0.6505 0.9549
17 O 0.2088 0.4899 0.2269
18 O 0.2088 0.5101 0.7269
19 O 0.2837 0.0387 0.7689
20 O 0.2837 0.9613 0.2689
21 O 0.3510 0.0183 0.0695
22 O 0.3510 0.9817 0.5695
23 O 0.4355 0.4590 0.6039
24 O 0.4355 0.5410 0.1039
25 O 0.5645 0.4590 0.8961
26 O 0.5645 0.5410 0.3961
27 O 0.6490 0.0183 0.4305
28 O 0.6490 0.9817 0.9305
29 O 0.7163 0.0387 0.7311
30 O 0.7163 0.9613 0.2311
31 O 0.7912 0.4899 0.2731
32 O 0.7912 0.5101 0.7731
33 O 0.8640 0.3495 0.0451
34 O 0.8640 0.6505 0.5451
35 O 0.9937 0.1381 0.6119
36 O 0.9937 0.8619 0.1119

- energy of formation from the pure elements (eV/atom) = -3.25
- total energy after the MP2020 corrections (eV per atom) = -9.04
- excess energy over the best structure of this formula in the dataset (kJ/mol of atoms) = 1.0
- calculated volume (Å³/f.u.) = 122
- calculated total energy (eV per atom) = -8.090
- SG = P2/c

Record 5
Here is a geometry-optimized Sm2W3O12 structure from Materials Project. Energies are from GGA+U.

Cell lengths 7.0442, 7.0442, 11.6036 Å; angles 100.81, 100.81, 112.24 degrees
Fractional coordinates of all 34 atoms:
1 Sm 0.0522 0.3063 0.0948
2 Sm 0.3063 0.0522 0.5948
3 Sm 0.6937 0.9478 0.4052
4 Sm 0.9478 0.6937 0.9052
5 W 0.1181 0.8819 0.2500
6 W 0.2024 0.4916 0.4523
7 W 0.4916 0.2024 0.9523
8 W 0.5084 0.7976 0.0477
9 W 0.7976 0.5084 0.5477
10 W 0.8819 0.1181 0.7500
11 O 0.0122 0.5962 0.2202
12 O 0.0269 0.9474 0.1091
13 O 0.0526 0.9731 0.3909
14 O 0.1008 0.6745 0.5761
15 O 0.2048 0.3518 0.3034
16 O 0.2233 0.6234 0.0377
17 O 0.3261 0.3945 0.5610
18 O 0.3255 0.8992 0.9239
19 O 0.3518 0.2048 0.8034
20 O 0.3766 0.7767 0.4623
21 O 0.3945 0.3261 0.0610
22 O 0.4038 0.9878 0.2798
23 O 0.5962 0.0122 0.7202
24 O 0.6055 0.6739 0.9390
25 O 0.6234 0.2233 0.5377
26 O 0.6482 0.7952 0.1966
27 O 0.6745 0.1008 0.0761
28 O 0.6739 0.6055 0.4390
29 O 0.7767 0.3766 0.9623
30 O 0.7952 0.6482 0.6966
31 O 0.8992 0.3255 0.4239
32 O 0.9474 0.0269 0.6091
33 O 0.9731 0.0526 0.8909
34 O 0.9878 0.4038 0.7798

- energy of formation from the pure elements (eV/atom) = -2.73
- total energy after the MP2020 corrections (eV per atom) = -9.07
- excess energy over the best structure of this formula in the dataset (kJ/mol of atoms) = 0.2
- calculated volume (Å³/f.u.) = 251
- calculated total energy (eV per atom) = -7.799
- SG = C2/c

Record 6
Here is a geometry-optimized SrV4SnO12 structure from Materials Project. Energies are from GGA+U.

Cell lengths 5.3622, 5.3622, 7.5894 Å; angles 90.00, 90.00, 90.00 degrees
Fractional coordinates of all 18 atoms:
1 Sr 0.0000 0.0000 0.0000
2 V 0.0000 0.5000 0.2496
3 V 0.0000 0.5000 0.7504
4 V 0.5000 0.0000 0.2496
5 V 0.5000 0.0000 0.7504
6 Sn 0.5000 0.5000 0.5000
7 O 0.0000 0.5000 0.0000
8 O 0.0000 0.5000 0.5000
9 O 0.2502 0.2502 0.2503
10 O 0.2502 0.2502 0.7497
11 O 0.2502 0.7498 0.2503
12 O 0.2502 0.7498 0.7497
13 O 0.5000 0.0000 0.0000
14 O 0.5000 0.0000 0.5000
15 O 0.7498 0.2502 0.2503
16 O 0.7498 0.2502 0.7497
17 O 0.7498 0.7498 0.2503
18 O 0.7498 0.7498 0.7497

- energy of formation from the pure elements (eV/atom) = -2.25
- total energy after the MP2020 corrections (eV per atom) = -7.88
- calculated volume (Å³/f.u.) = 218
- calculated total energy (eV per atom) = -7.047
- SG = P4/mmm